(1)
# CuSe, relaxed, DFT PBE
data_CuSe
_chemical_formula_sum 'Cu6 Se6'
_cell_length_a 4.021
_cell_length_b 4.021
_cell_length_c 17.485
_cell_angle_alpha 90.00
_cell_angle_beta 90.00
_cell_angle_gamma 120.00
_symmetry_space_group_name_H-M 'P 1'
_symmetry_Int_Tables_number 1
loop_
_symmetry_equiv_pos_as_xyz
'x,y,z'
loop_
_atom_site_label
_atom_site_type_symbol
_atom_site_fract_x
_atom_site_fract_y
_atom_site_fract_z
Cu1 Cu 0.333 0.667 0.108
Cu2 Cu 0.333 0.667 0.392
Cu3 Cu 0.333 0.667 0.750
Cu4 Cu 0.667 0.333 0.250
Cu5 Cu 0.667 0.333 0.608
Cu6 Cu 0.667 0.333 0.892
Se1 Se 0.000 0.000 0.069
Se2 Se 0.000 0.000 0.431
Se3 Se 0.000 0.000 0.569
Se4 Se 0.000 0.000 0.931
Se5 Se 0.333 0.667 0.250
Se6 Se 0.667 0.333 0.750
# Space-group type: P6_3/mmc, No. 194

---

(2)
# Cu19Se11, relaxed, DFT PBE
data_Cu19Se11
_chemical_formula_sum 'Cu19 Se11'
_cell_length_a 3.975
_cell_length_b 4.112
_cell_length_c 36.108
_cell_angle_alpha 90.89
_cell_angle_beta 92.55
_cell_angle_gamma 117.60
_symmetry_space_group_name_H-M 'P 1'
_symmetry_Int_Tables_number 1
loop_
_symmetry_equiv_pos_as_xyz
'x,y,z'
loop_
_atom_site_label
_atom_site_type_symbol
_atom_site_fract_x
_atom_site_fract_y
_atom_site_fract_z
Cu1 Cu 0.000 0.000 0.000
Cu2 Cu 0.000 0.144 0.068
Cu3 Cu 0.068 0.232 0.650
Cu4 Cu 0.160 0.355 0.261
Cu5 Cu 0.258 0.524 0.396
Cu6 Cu 0.308 0.646 0.912
Cu7 Cu 0.322 0.766 0.548
Cu8 Cu 0.381 0.866 0.629
Cu9 Cu 0.433 0.931 0.181
Cu10 Cu 0.513 0.045 0.817
Cu11 Cu 0.525 0.082 0.307
Cu12 Cu 0.611 0.290 0.448
Cu13 Cu 0.641 0.399 0.522
Cu14 Cu 0.650 0.318 0.882
Cu15 Cu 0.684 0.509 0.091
Cu16 Cu 0.695 0.499 0.601
Cu17 Cu 0.814 0.666 0.742
Cu18 Cu 0.895 0.804 0.350
Cu19 Cu 0.967 0.022 0.495
Se1 Se 0.004 0.130 0.568
Se2 Se 0.109 0.289 0.196
Se3 Se 0.199 0.436 0.843
Se4 Se 0.292 0.649 0.465
Se5 Se 0.367 0.869 0.112
Se6 Se 0.489 0.020 0.752
Se7 Se 0.578 0.168 0.378
Se8 Se 0.676 0.371 0.022
Se9 Se 0.749 0.600 0.671
Se10 Se 0.841 0.723 0.283
Se11 Se 0.969 0.975 0.933
# Space-group type: P1, No. 1

---

(3)
# Cu9Se5, relaxed, DFT PBE
data_Cu9Se5
_chemical_formula_sum 'Cu9 Se5'
_cell_length_a 7.146
_cell_length_b 7.146
_cell_length_c 9.086
_cell_angle_alpha 129.37
_cell_angle_beta 129.37
_cell_angle_gamma 48.41
_symmetry_space_group_name_H-M 'P 1'
_symmetry_Int_Tables_number 1
loop_
_symmetry_equiv_pos_as_xyz
'x,y,z'
loop_
_atom_site_label
_atom_site_type_symbol
_atom_site_fract_x
_atom_site_fract_y
_atom_site_fract_z
Cu1 Cu 0.000 0.000 0.000
Cu2 Cu 0.040 0.226 0.369
Cu3 Cu 0.168 0.215 0.791
Cu4 Cu 0.252 0.422 0.174
Cu5 Cu 0.375 0.413 0.585
Cu6 Cu 0.578 0.748 0.826
Cu7 Cu 0.587 0.625 0.415
Cu8 Cu 0.774 0.960 0.631
Cu9 Cu 0.785 0.832 0.209
Se1 Se 0.058 0.554 0.712
Se2 Se 0.226 0.774 0.500
Se3 Se 0.446 0.942 0.288
Se4 Se 0.646 0.151 0.093
Se5 Se 0.849 0.354 0.907
# Space-group type: C2, No. 5

---

(4)
# Cu2Se, relaxed, DFT PBE
data_Cu2Se
_chemical_formula_sum 'Cu8 Se4'
_cell_length_a 4.266
_cell_length_b 4.266
_cell_length_c 11.340
_cell_angle_alpha 90.00
_cell_angle_beta 90.00
_cell_angle_gamma 90.00
_symmetry_space_group_name_H-M 'P 1'
_symmetry_Int_Tables_number 1
loop_
_symmetry_equiv_pos_as_xyz
'x,y,z'
loop_
_atom_site_label
_atom_site_type_symbol
_atom_site_fract_x
_atom_site_fract_y
_atom_site_fract_z
Cu1 Cu 0.020 0.345 0.423
Cu2 Cu 0.155 0.520 0.173
Cu3 Cu 0.345 0.020 0.577
Cu4 Cu 0.480 0.845 0.327
Cu5 Cu 0.520 0.155 0.827
Cu6 Cu 0.655 0.980 0.077
Cu7 Cu 0.845 0.480 0.673
Cu8 Cu 0.980 0.655 0.923
Se1 Se 0.020 0.980 0.750
Se2 Se 0.480 0.480 0.000
Se3 Se 0.520 0.520 0.500
Se4 Se 0.980 0.020 0.250
# Space-group type: P4_32_12, No. 96

---

(5)
# CuSe, relaxed, DFT PBE
data_CuSe
_chemical_formula_sum 'Cu6 Se6'
_cell_length_a 4.030
_cell_length_b 4.030
_cell_length_c 17.435
_cell_angle_alpha 90.00
_cell_angle_beta 90.00
_cell_angle_gamma 120.36
_symmetry_space_group_name_H-M 'P 1'
_symmetry_Int_Tables_number 1
loop_
_symmetry_equiv_pos_as_xyz
'x,y,z'
loop_
_atom_site_label
_atom_site_type_symbol
_atom_site_fract_x
_atom_site_fract_y
_atom_site_fract_z
Cu1 Cu 0.134 0.866 0.750
Cu2 Cu 0.159 0.841 0.108
Cu3 Cu 0.159 0.841 0.392
Cu4 Cu 0.841 0.159 0.608
Cu5 Cu 0.841 0.159 0.892
Cu6 Cu 0.866 0.134 0.250
Se1 Se 0.198 0.802 0.250
Se2 Se 0.493 0.507 0.070
Se3 Se 0.493 0.507 0.430
Se4 Se 0.507 0.493 0.570
Se5 Se 0.507 0.493 0.930
Se6 Se 0.802 0.198 0.750
# Space-group type: Cmcm, No. 63

---

(6)
# CuSe2, relaxed, DFT PBE
data_CuSe2
_chemical_formula_sum 'Cu4 Se8'
_cell_length_a 6.159
_cell_length_b 6.159
_cell_length_c 6.159
_cell_angle_alpha 90.00
_cell_angle_beta 90.00
_cell_angle_gamma 90.00
_symmetry_space_group_name_H-M 'P 1'
_symmetry_Int_Tables_number 1
loop_
_symmetry_equiv_pos_as_xyz
'x,y,z'
loop_
_atom_site_label
_atom_site_type_symbol
_atom_site_fract_x
_atom_site_fract_y
_atom_site_fract_z
Cu1 Cu 0.000 0.000 0.000
Cu2 Cu 0.000 0.500 0.500
Cu3 Cu 0.500 0.000 0.500
Cu4 Cu 0.500 0.500 0.000
Se1 Se 0.111 0.611 0.889
Se2 Se 0.111 0.889 0.389
Se3 Se 0.389 0.111 0.889
Se4 Se 0.389 0.389 0.389
Se5 Se 0.611 0.611 0.611
Se6 Se 0.611 0.889 0.111
Se7 Se 0.889 0.111 0.611
Se8 Se 0.889 0.389 0.111
# Space-group type: Pa-3, No. 205

---

(7)
# Cu2Se, relaxed, DFT PBE
data_Cu2Se
_chemical_formula_sum 'Cu2 Se1'
_cell_length_a 4.090
_cell_length_b 4.090
_cell_length_c 4.090
_cell_angle_alpha 60.00
_cell_angle_beta 60.00
_cell_angle_gamma 60.00
_symmetry_space_group_name_H-M 'P 1'
_symmetry_Int_Tables_number 1
loop_
_symmetry_equiv_pos_as_xyz
'x,y,z'
loop_
_atom_site_label
_atom_site_type_symbol
_atom_site_fract_x
_atom_site_fract_y
_atom_site_fract_z
Cu1 Cu 0.000 0.000 0.000
Cu2 Cu 0.250 0.250 0.250
Se1 Se 0.750 0.750 0.750
# Space-group type: F-43m, No. 216

---

(8)
# Cu2Se, relaxed, DFT PBE
data_Cu2Se
_chemical_formula_sum 'Cu4 Se2'
_cell_length_a 4.138
_cell_length_b 6.014
_cell_length_c 4.072
_cell_angle_alpha 90.00
_cell_angle_beta 90.00
_cell_angle_gamma 90.00
_symmetry_space_group_name_H-M 'P 1'
_symmetry_Int_Tables_number 1
loop_
_symmetry_equiv_pos_as_xyz
'x,y,z'
loop_
_atom_site_label
_atom_site_type_symbol
_atom_site_fract_x
_atom_site_fract_y
_atom_site_fract_z
Cu1 Cu 0.000 0.004 0.000
Cu2 Cu 0.000 0.559 0.116
Cu3 Cu 0.500 0.441 0.616
Cu4 Cu 0.500 0.996 0.500
Se1 Se 0.000 0.244 0.481
Se2 Se 0.500 0.756 0.981
# Space-group type: Pmn2_1, No. 31

---

(9)
# Cu9Se5, relaxed, DFT PBE
data_Cu9Se5
_chemical_formula_sum 'Cu18 Se10'
_cell_length_a 7.021
_cell_length_b 8.114
_cell_length_c 9.087
_cell_angle_alpha 77.12
_cell_angle_beta 75.02
_cell_angle_gamma 73.29
_symmetry_space_group_name_H-M 'P 1'
_symmetry_Int_Tables_number 1
loop_
_symmetry_equiv_pos_as_xyz
'x,y,z'
loop_
_atom_site_label
_atom_site_type_symbol
_atom_site_fract_x
_atom_site_fract_y
_atom_site_fract_z
Cu1 Cu 0.049 0.450 0.149
Cu2 Cu 0.049 0.951 0.149
Cu3 Cu 0.150 0.850 0.451
Cu4 Cu 0.151 0.349 0.450
Cu5 Cu 0.254 0.250 0.747
Cu6 Cu 0.349 0.151 0.046
Cu7 Cu 0.351 0.650 0.049
Cu8 Cu 0.446 0.052 0.349
Cu9 Cu 0.451 0.550 0.350
Cu10 Cu 0.549 0.450 0.650
Cu11 Cu 0.554 0.948 0.651
Cu12 Cu 0.649 0.350 0.951
Cu13 Cu 0.651 0.849 0.954
Cu14 Cu 0.746 0.750 0.253
Cu15 Cu 0.849 0.651 0.550
Cu16 Cu 0.850 0.150 0.549
Cu17 Cu 0.951 0.049 0.851
Cu18 Cu 0.951 0.550 0.851
Se1 Se 0.095 0.151 0.300
Se2 Se 0.101 0.650 0.300
Se3 Se 0.298 0.947 0.898
Se4 Se 0.299 0.454 0.899
Se5 Se 0.497 0.750 0.503
Se6 Se 0.503 0.250 0.497
Se7 Se 0.701 0.546 0.101
Se8 Se 0.702 0.053 0.102
Se9 Se 0.899 0.350 0.700
Se10 Se 0.905 0.849 0.700
# Space-group type: P-1, No. 2

---

(10)
# Cu25Se26, relaxed, DFT PBE
data_Cu25Se26
_chemical_formula_sum 'Cu75 Se78'
_cell_length_a 14.408
_cell_length_b 17.342
_cell_length_c 14.421
_cell_angle_alpha 90.00
_cell_angle_beta 119.95
_cell_angle_gamma 90.00
_symmetry_space_group_name_H-M 'P 1'
_symmetry_Int_Tables_number 1
loop_
_symmetry_equiv_pos_as_xyz
'x,y,z'
loop_
_atom_site_label
_atom_site_type_symbol
_atom_site_fract_x
_atom_site_fract_y
_atom_site_fract_z
Cu1 Cu 0.000 0.000 0.000
Cu2 Cu 0.002 0.363 0.999
Cu3 Cu 0.002 0.637 0.999
Cu4 Cu 0.027 0.141 0.433
Cu5 Cu 0.027 0.859 0.433
Cu6 Cu 0.029 0.500 0.431
Cu7 Cu 0.078 0.360 0.305
Cu8 Cu 0.078 0.640 0.305
Cu9 Cu 0.103 0.144 0.741
Cu10 Cu 0.103 0.856 0.741
Cu11 Cu 0.106 0.500 0.744
Cu12 Cu 0.153 0.000 0.609
Cu13 Cu 0.156 0.357 0.613
Cu14 Cu 0.156 0.643 0.613
Cu15 Cu 0.181 0.143 0.049
Cu16 Cu 0.181 0.857 0.049
Cu17 Cu 0.232 0.000 0.920
Cu18 Cu 0.232 0.359 0.920
Cu19 Cu 0.232 0.641 0.920
Cu20 Cu 0.256 0.500 0.354
Cu21 Cu 0.257 0.141 0.356
Cu22 Cu 0.257 0.859 0.356
Cu23 Cu 0.308 0.000 0.230
Cu24 Cu 0.309 0.359 0.228
Cu25 Cu 0.309 0.641 0.228
Cu26 Cu 0.335 0.143 0.663
Cu27 Cu 0.335 0.500 0.664
Cu28 Cu 0.335 0.857 0.663
Cu29 Cu 0.383 0.000 0.532
Cu30 Cu 0.386 0.357 0.535
Cu31 Cu 0.386 0.643 0.535
Cu32 Cu 0.408 0.500 0.970
Cu33 Cu 0.411 0.143 0.971
Cu34 Cu 0.411 0.857 0.971
Cu35 Cu 0.463 0.000 0.844
Cu36 Cu 0.463 0.357 0.844
Cu37 Cu 0.463 0.643 0.844
Cu38 Cu 0.485 0.500 0.278
Cu39 Cu 0.488 0.143 0.280
Cu40 Cu 0.488 0.857 0.280
Cu41 Cu 0.539 0.357 0.151
Cu42 Cu 0.539 0.643 0.151
Cu43 Cu 0.540 0.000 0.152
Cu44 Cu 0.565 0.500 0.587
Cu45 Cu 0.566 0.143 0.588
Cu46 Cu 0.566 0.857 0.588
Cu47 Cu 0.617 0.000 0.459
Cu48 Cu 0.617 0.357 0.460
Cu49 Cu 0.617 0.643 0.460
Cu50 Cu 0.643 0.144 0.895
Cu51 Cu 0.643 0.856 0.895
Cu52 Cu 0.645 0.500 0.898
Cu53 Cu 0.693 0.357 0.767
Cu54 Cu 0.693 0.643 0.767
Cu55 Cu 0.694 0.000 0.766
Cu56 Cu 0.721 0.143 0.203
Cu57 Cu 0.721 0.500 0.199
Cu58 Cu 0.721 0.857 0.203
Cu59 Cu 0.771 0.359 0.074
Cu60 Cu 0.771 0.641 0.074
Cu61 Cu 0.774 0.000 0.075
Cu62 Cu 0.796 0.143 0.510
Cu63 Cu 0.796 0.500 0.510
Cu64 Cu 0.796 0.857 0.510
Cu65 Cu 0.847 0.357 0.381
Cu66 Cu 0.847 0.643 0.381
Cu67 Cu 0.851 0.000 0.383
Cu68 Cu 0.873 0.144 0.818
Cu69 Cu 0.873 0.856 0.818
Cu70 Cu 0.877 0.500 0.824
Cu71 Cu 0.924 0.000 0.690
Cu72 Cu 0.925 0.357 0.690
Cu73 Cu 0.925 0.643 0.690
Cu74 Cu 0.951 0.141 0.125
Cu75 Cu 0.951 0.859 0.125
Se1 Se 0.003 0.500 0.000
Se2 Se 0.029 0.000 0.428
Se3 Se 0.052 0.321 0.870
Se4 Se 0.052 0.679 0.870
Se5 Se 0.053 0.181 0.870
Se6 Se 0.053 0.819 0.870
Se7 Se 0.075 0.500 0.299
Se8 Se 0.104 0.000 0.740
Se9 Se 0.130 0.181 0.177
Se10 Se 0.130 0.321 0.177
Se11 Se 0.130 0.679 0.177
Se12 Se 0.130 0.819 0.177
Se13 Se 0.155 0.500 0.613
Se14 Se 0.181 0.000 0.048
Se15 Se 0.206 0.180 0.484
Se16 Se 0.206 0.319 0.484
Se17 Se 0.206 0.681 0.484
Se18 Se 0.206 0.820 0.484
Se19 Se 0.229 0.500 0.925
Se20 Se 0.250 0.000 0.354
Se21 Se 0.283 0.180 0.791
Se22 Se 0.283 0.320 0.793
Se23 Se 0.283 0.680 0.793
Se24 Se 0.283 0.820 0.791
Se25 Se 0.305 0.500 0.223
Se26 Se 0.335 0.000 0.664
Se27 Se 0.360 0.320 0.100
Se28 Se 0.360 0.680 0.100
Se29 Se 0.361 0.181 0.100
Se30 Se 0.361 0.819 0.100
Se31 Se 0.385 0.500 0.535
Se32 Se 0.412 0.000 0.972
Se33 Se 0.437 0.180 0.408
Se34 Se 0.437 0.320 0.407
Se35 Se 0.437 0.680 0.407
Se36 Se 0.437 0.820 0.408
Se37 Se 0.463 0.500 0.844
Se38 Se 0.488 0.000 0.279
Se39 Se 0.513 0.320 0.715
Se40 Se 0.513 0.680 0.715
Se41 Se 0.514 0.180 0.716
Se42 Se 0.514 0.820 0.716
Se43 Se 0.541 0.500 0.151
Se44 Se 0.565 0.000 0.587
Se45 Se 0.591 0.180 0.024
Se46 Se 0.591 0.820 0.024
Se47 Se 0.592 0.320 0.024
Se48 Se 0.592 0.680 0.024
Se49 Se 0.616 0.500 0.458
Se50 Se 0.643 0.000 0.896
Se51 Se 0.668 0.180 0.330
Se52 Se 0.668 0.320 0.330
Se53 Se 0.668 0.680 0.330
Se54 Se 0.668 0.820 0.330
Se55 Se 0.693 0.500 0.766
Se56 Se 0.719 0.000 0.203
Se57 Se 0.745 0.180 0.639
Se58 Se 0.745 0.320 0.639
Se59 Se 0.745 0.680 0.639
Se60 Se 0.745 0.820 0.639
Se61 Se 0.778 0.500 0.076
Se62 Se 0.797 0.000 0.510
Se63 Se 0.822 0.181 0.947
Se64 Se 0.822 0.819 0.947
Se65 Se 0.823 0.321 0.947
Se66 Se 0.823 0.679 0.947
Se67 Se 0.848 0.500 0.382
Se68 Se 0.874 0.000 0.819
Se69 Se 0.899 0.320 0.253
Se70 Se 0.899 0.680 0.253
Se71 Se 0.900 0.180 0.254
Se72 Se 0.900 0.820 0.254
Se73 Se 0.924 0.500 0.690
Se74 Se 0.955 0.000 0.133
Se75 Se 0.976 0.180 0.561
Se76 Se 0.976 0.320 0.561
Se77 Se 0.976 0.680 0.561
Se78 Se 0.976 0.820 0.561
# Space-group type: Pm, No. 6

---

(11)
# Cu2Se, relaxed, DFT PBE
data_Cu2Se
_chemical_formula_sum 'Cu8 Se4'
_cell_length_a 4.211
_cell_length_b 4.211
_cell_length_c 13.643
_cell_angle_alpha 99.89
_cell_angle_beta 99.89
_cell_angle_gamma 59.89
_symmetry_space_group_name_H-M 'P 1'
_symmetry_Int_Tables_number 1
loop_
_symmetry_equiv_pos_as_xyz
'x,y,z'
loop_
_atom_site_label
_atom_site_type_symbol
_atom_site_fract_x
_atom_site_fract_y
_atom_site_fract_z
Cu1 Cu 0.000 0.000 0.000
Cu2 Cu 0.176 0.176 0.560
Cu3 Cu 0.219 0.219 0.358
Cu4 Cu 0.237 0.237 0.743
Cu5 Cu 0.480 0.480 0.104
Cu6 Cu 0.502 0.502 0.504
Cu7 Cu 0.728 0.728 0.851
Cu8 Cu 0.750 0.750 0.256
Se1 Se 0.032 0.032 0.192
Se2 Se 0.286 0.286 0.940
Se3 Se 0.540 0.540 0.686
Se4 Se 0.801 0.801 0.446
# Space-group type: Cm, No. 8

---

(12)
# Cu4Se3, relaxed, DFT PBE
data_Cu4Se3
_chemical_formula_sum 'Cu4 Se3'
_cell_length_a 9.872
_cell_length_b 9.872
_cell_length_c 9.872
_cell_angle_alpha 22.05
_cell_angle_beta 22.05
_cell_angle_gamma 22.05
_symmetry_space_group_name_H-M 'P 1'
_symmetry_Int_Tables_number 1
loop_
_symmetry_equiv_pos_as_xyz
'x,y,z'
loop_
_atom_site_label
_atom_site_type_symbol
_atom_site_fract_x
_atom_site_fract_y
_atom_site_fract_z
Cu1 Cu 0.119 0.119 0.119
Cu2 Cu 0.356 0.356 0.356
Cu3 Cu 0.644 0.644 0.644
Cu4 Cu 0.881 0.881 0.881
Se1 Se 0.268 0.268 0.268
Se2 Se 0.500 0.500 0.500
Se3 Se 0.732 0.732 0.732
# Space-group type: R-3m, No. 166

---

One value per record, in order, for MP2020-corrected energy: -4.156, -4.060, -4.079, -4.055, -4.157, -4.091, -4.017, -4.035, -4.091, -4.152, -4.042, -4.072 eV per atom.
One value per record, in order, for calculated volume: 40.80, 522.07, 249.32, 51.60, 40.73, 58.40, 48.39, 50.66, 236.37, 1040.69, 51.29, 118.87 Å³/f.u..
One value per record, in order, for calculated formation energy: -0.7, -5.5, -2.7, -0.5, -0.7, -1.2, -0.4, -0.4, -2.9, -18.4, -0.4, -1.6 eV/f.u..